No. 1
Here is a relaxed structure of Y2Ga3Fe14C2 from the Materials Project. Energies are from PBE-GGA.

CIF file:
```
data_Y2Ga3Fe14C2
_cell_length_a 9.865
_cell_length_b 8.707
_cell_length_c 6.604
_cell_angle_alpha 90.00
_cell_angle_beta 98.48
_cell_angle_gamma 90.00
_symmetry_space_group_name_H-M 'C 1 2/m 1'
_symmetry_Int_Tables_number 12
_symmetry_space_group_name_Hall '-C 2y'
loop_
_atom_site_label
_atom_site_type_symbol
_atom_site_fract_x
_atom_site_fract_y
_atom_site_fract_z
Y1 Y 0.153 0.000 0.340
Ga1 Ga 0.000 0.500 0.500
Ga2 Ga 0.250 0.250 0.000
Fe1 Fe 0.000 0.209 0.000
Fe2 Fe 0.093 0.500 0.905
Fe3 Fe 0.098 0.251 0.656
Fe4 Fe 0.143 0.357 0.286
Fe5 Fe 0.154 0.000 0.848
C1 C 0.250 0.250 0.500
```

Its spin magnetization is 27.30 μB/f.u. For the formation energy, the calculation gives -0.14 eV/atom.


No. 2
Here is a relaxed structure of GdFeC2 from the Materials Project. Energies are from PBE-GGA.

CIF file:
```
data_GdFeC2
_cell_length_a 3.702
_cell_length_b 4.553
_cell_length_c 5.936
_cell_angle_alpha 90.00
_cell_angle_beta 90.00
_cell_angle_gamma 90.00
_symmetry_space_group_name_H-M 'A m m 2'
_symmetry_Int_Tables_number 38
_symmetry_space_group_name_Hall 'A 2 -2'
loop_
_atom_site_label
_atom_site_type_symbol
_atom_site_fract_x
_atom_site_fract_y
_atom_site_fract_z
Gd1 Gd 0.000 0.000 0.000
Fe1 Fe 0.500 0.000 0.611
C1 C 0.500 0.154 0.296
```

For the formation energy, the calculation gives -0.24 eV/atom.


No. 3
Here is a relaxed structure of GdTiFe11C from the Materials Project. Energies are from PBE-GGA.

CIF file:
```
data_GdTiFe11C
_cell_length_a 4.878
_cell_length_b 8.558
_cell_length_c 8.468
_cell_angle_alpha 90.00
_cell_angle_beta 90.00
_cell_angle_gamma 90.00
_symmetry_space_group_name_H-M 'I m m 2'
_symmetry_Int_Tables_number 44
_symmetry_space_group_name_Hall 'I 2 -2'
loop_
_atom_site_label
_atom_site_type_symbol
_atom_site_fract_x
_atom_site_fract_y
_atom_site_fract_z
Gd1 Gd 0.000 0.000 0.000
Ti1 Ti 0.000 0.000 0.626
Fe1 Fe 0.000 0.000 0.349
Fe2 Fe 0.000 0.279 0.489
Fe3 Fe 0.000 0.359 0.992
Fe4 Fe 0.000 0.500 0.268
Fe5 Fe 0.000 0.500 0.718
Fe6 Fe 0.249 0.248 0.242
C1 C 0.000 0.500 0.493
```

Its spin magnetization is 28.78 μB/f.u. For the formation energy, the calculation gives -0.07 eV/atom.


No. 4
Here is a relaxed structure of FeGe4H24C8S10N2 from the Materials Project. Energies are from PBE-GGA.

CIF file:
```
data_FeGe4H24C8S10N2
_cell_length_a 9.581
_cell_length_b 9.581
_cell_length_c 14.625
_cell_angle_alpha 90.00
_cell_angle_beta 90.00
_cell_angle_gamma 90.00
_symmetry_space_group_name_H-M 'I -4'
_symmetry_Int_Tables_number 82
_symmetry_space_group_name_Hall 'I -4'
loop_
_atom_site_label
_atom_site_type_symbol
_atom_site_fract_x
_atom_site_fract_y
_atom_site_fract_z
Fe1 Fe 0.000 0.000 0.000
Ge1 Ge 0.066 0.678 0.840
H1 H 0.011 0.186 0.423
H2 H 0.047 0.885 0.622
H3 H 0.064 0.666 0.333
H4 H 0.084 0.596 0.132
H5 H 0.095 0.302 0.271
H6 H 0.141 0.828 0.524
C1 C 0.035 0.378 0.310
C2 C 0.081 0.100 0.440
S1 S 0.000 0.500 0.568
S2 S 0.114 0.251 0.750
S3 S 0.147 0.148 0.078
N1 N 0.000 0.000 0.500
N2 N 0.000 0.500 0.250
```

Its spin magnetization is 4.00 μB/f.u. For the formation energy, the calculation gives -0.32 eV/atom.


No. 5
Here is a relaxed structure of FeH2C2N4 from the Materials Project. Energies are from PBE-GGA.

CIF file:
```
data_FeH2C2N4
_cell_length_a 6.355
_cell_length_b 8.339
_cell_length_c 3.181
_cell_angle_alpha 90.00
_cell_angle_beta 90.00
_cell_angle_gamma 90.00
_symmetry_space_group_name_H-M 'P n n m'
_symmetry_Int_Tables_number 58
_symmetry_space_group_name_Hall '-P 2 2n'
loop_
_atom_site_label
_atom_site_type_symbol
_atom_site_fract_x
_atom_site_fract_y
_atom_site_fract_z
Fe1 Fe 0.000 0.000 0.000
H1 H 0.202 0.429 0.000
C1 C 0.176 0.661 0.000
N1 N 0.087 0.785 0.000
N2 N 0.206 0.030 0.500
```

Its spin magnetization is 0.00 μB/f.u. For the formation energy, the calculation gives -0.04 eV/atom.


No. 6
Here is a relaxed structure of FeH21C7S3N from the Materials Project. Energies are from PBE-GGA.

CIF file:
```
data_FeH21C7S3N
_cell_length_a 10.302
_cell_length_b 9.901
_cell_length_c 18.750
_cell_angle_alpha 90.00
_cell_angle_beta 121.20
_cell_angle_gamma 90.00
_symmetry_space_group_name_H-M 'P 1 21/c 1'
_symmetry_Int_Tables_number 14
_symmetry_space_group_name_Hall '-P 2ybc'
loop_
_atom_site_label
_atom_site_type_symbol
_atom_site_fract_x
_atom_site_fract_y
_atom_site_fract_z
Fe1 Fe 0.015 0.105 0.446
H1 H 0.093 0.140 0.195
H2 H 0.131 0.713 0.274
H3 H 0.145 0.536 0.720
H4 H 0.148 0.539 0.255
H5 H 0.164 0.083 0.984
H6 H 0.167 0.081 0.300
H7 H 0.185 0.095 0.896
H8 H 0.205 0.716 0.440
H9 H 0.260 0.157 0.140
H10 H 0.269 0.725 0.043
H11 H 0.282 0.618 0.970
H12 H 0.287 0.190 0.746
H13 H 0.305 0.519 0.664
H14 H 0.314 0.639 0.317
H15 H 0.349 0.087 0.998
H16 H 0.362 0.250 0.351
H17 H 0.407 0.599 0.805
H18 H 0.430 0.017 0.385
H19 H 0.447 0.529 0.157
H20 H 0.455 0.105 0.204
H21 H 0.485 0.238 0.809
C1 C 0.171 0.069 0.243
C2 C 0.198 0.640 0.262
C3 C 0.214 0.696 0.977
C4 C 0.233 0.127 0.961
C5 C 0.338 0.084 0.186
C6 C 0.369 0.242 0.295
C7 C 0.439 0.004 0.329
S1 S 0.022 0.633 0.940
S2 S 0.202 0.686 0.169
S3 S 0.241 0.188 0.469
N1 N 0.329 0.100 0.263
```

Its spin magnetization is 4.02 μB/f.u. For the formation energy, the calculation gives -0.19 eV/atom.


No. 7
Here is a relaxed structure of FeH12C4S4N10 from the Materials Project. Energies are from PBE-GGA.

CIF file:
```
data_FeH12C4S4N10
_cell_length_a 5.504
_cell_length_b 8.291
_cell_length_c 8.980
_cell_angle_alpha 79.11
_cell_angle_beta 83.81
_cell_angle_gamma 86.97
_symmetry_space_group_name_H-M 'P -1'
_symmetry_Int_Tables_number 2
_symmetry_space_group_name_Hall '-P 1'
loop_
_atom_site_label
_atom_site_type_symbol
_atom_site_fract_x
_atom_site_fract_y
_atom_site_fract_z
Fe1 Fe 0.000 0.000 0.000
H1 H 0.008 0.735 0.403
H2 H 0.157 0.305 0.286
H3 H 0.207 0.285 0.021
H4 H 0.208 0.597 0.485
H5 H 0.342 0.870 0.488
H6 H 0.369 0.134 0.118
C1 C 0.113 0.860 0.684
C2 C 0.343 0.693 0.148
S1 S 0.256 0.010 0.746
S2 S 0.485 0.461 0.781
N1 N 0.080 0.687 0.503
N2 N 0.084 0.217 0.239
N3 N 0.194 0.179 0.101
N4 N 0.196 0.813 0.552
N5 N 0.219 0.807 0.095
```

Its spin magnetization is 4.00 μB/f.u. For the formation energy, the calculation gives -0.18 eV/atom.


No. 8
Here is a relaxed structure of Hf2FeC2S from the Materials Project. Energies are from PBE-GGA.

CIF file:
```
data_Hf2FeC2S
_cell_length_a 3.3980
_cell_length_b 3.3980
_cell_length_c 11.2106
_cell_angle_alpha 90.00
_cell_angle_beta 90.00
_cell_angle_gamma 120.00
_symmetry_space_group_name_H-M 'P 3 m 1'
_symmetry_Int_Tables_number 156
_symmetry_space_group_name_Hall 'P 3 -2"'
loop_
_atom_site_label
_atom_site_type_symbol
_atom_site_fract_x
_atom_site_fract_y
_atom_site_fract_z
Hf1 Hf 0.0000 0.0000 0.0000
Hf2 Hf 0.0000 0.0000 0.3348
Fe1 Fe 0.3333 0.6667 0.4977
C1 C 0.6667 0.3333 0.4543
C2 C 0.6667 0.3333 0.9349
S1 S 0.3333 0.6667 0.1802
```

Its spin magnetization is 1.72 μB/f.u. For the formation energy, the calculation gives -0.24 eV/atom.


No. 9
Here is a relaxed structure of FeHgC4S4N4 from the Materials Project. Energies are from PBE-GGA.

CIF file:
```
data_FeHgC4S4N4
_cell_length_a 11.287
_cell_length_b 11.287
_cell_length_c 4.800
_cell_angle_alpha 90.00
_cell_angle_beta 90.00
_cell_angle_gamma 90.00
_symmetry_space_group_name_H-M 'I -4'
_symmetry_Int_Tables_number 82
_symmetry_space_group_name_Hall 'I -4'
loop_
_atom_site_label
_atom_site_type_symbol
_atom_site_fract_x
_atom_site_fract_y
_atom_site_fract_z
Fe1 Fe 0.000 0.000 0.000
Hg1 Hg 0.000 0.500 0.250
C1 C 0.076 0.221 0.352
S1 S 0.117 0.336 0.531
N1 N 0.048 0.135 0.226
```

Its spin magnetization is 4.00 μB/f.u. For the formation energy, the calculation gives -0.05 eV/atom.


No. 10
Here is a relaxed structure of Ho2FeC4 from the Materials Project. Energies are from PBE-GGA.

CIF file:
```
data_Ho2FeC4
_cell_length_a 7.447
_cell_length_b 9.550
_cell_length_c 5.003
_cell_angle_alpha 90.00
_cell_angle_beta 90.00
_cell_angle_gamma 90.00
_symmetry_space_group_name_H-M 'I b a m'
_symmetry_Int_Tables_number 72
_symmetry_space_group_name_Hall '-I 2 2c'
loop_
_atom_site_label
_atom_site_type_symbol
_atom_site_fract_x
_atom_site_fract_y
_atom_site_fract_z
Ho1 Ho 0.156 0.145 0.000
Fe1 Fe 0.000 0.500 0.250
C1 C 0.162 0.129 0.500
C2 C 0.166 0.422 0.000
```

For the formation energy, the calculation gives -0.30 eV/atom.


No. 11
Here is a relaxed structure of Ho2Fe17C from the Materials Project. Energies are from PBE-GGA.

CIF file:
```
data_Ho2Fe17C
_cell_length_a 9.610
_cell_length_b 8.604
_cell_length_c 6.406
_cell_angle_alpha 90.00
_cell_angle_beta 99.16
_cell_angle_gamma 90.00
_symmetry_space_group_name_H-M 'C 1 2/m 1'
_symmetry_Int_Tables_number 12
_symmetry_space_group_name_Hall '-C 2y'
loop_
_atom_site_label
_atom_site_type_symbol
_atom_site_fract_x
_atom_site_fract_y
_atom_site_fract_z
Ho1 Ho 0.161 0.000 0.347
Fe1 Fe 0.000 0.215 0.000
Fe2 Fe 0.000 0.500 0.500
Fe3 Fe 0.096 0.254 0.657
Fe4 Fe 0.097 0.500 0.903
Fe5 Fe 0.146 0.354 0.292
Fe6 Fe 0.157 0.000 0.849
Fe7 Fe 0.250 0.250 0.000
C1 C 0.000 0.000 0.000
```

Its spin magnetization is 37.48 μB/f.u. The value obtained for the offset from the most stable computed form is 2 meV/atom. For the formation energy, the calculation gives -0.04 eV/atom.


For each record above, in turn, the calculated V values are 561 100 354 1343 169 1636 400 112 611 356 523 Å³/cell.
For each record above, in turn, the calculated ρ values are 7.06 7.87 7.81 2.02 2.72 1.10 1.60 6.95 2.65 8.10 8.20 Mg/m³.